Density functional theory data (PBE-GGA) for a relaxed Na10Si9Ge8S3O48 crystal.

Values from the calculation:
* crystal system: triclinic
* DFT total energy: -6.46 eV/atom
* SG: P1 (1)

Unit cell a=17.3144 b=8.6645 c=21.6269 alpha=90.28 beta=90.12 gamma=119.92
With the nearest neighbours (Å) after each atom.
Element x y z (fractional)
Na1 0.3188 0.0017 0.2489  3 O 2.24-2.50
Na2 0.8188 0.0023 0.2495  3 O 2.24-2.50
Na3 0.1838 0.9919 0.7466  6 O 2.31-2.57
Na4 0.6828 0.9983 0.7460  6 O 2.34-2.60
Na5 0.0173 0.6991 0.5794  5 O 2.31-2.50
Na6 0.5173 0.6999 0.5791  5 O 2.32-2.50
Na7 0.0174 0.3327 0.0792  6 O 2.33-2.55
Na8 0.5163 0.3318 0.0797  6 O 2.33-2.54
Na9 0.4828 0.6644 0.9156  5 O 2.30-2.53
Na10 0.3494 0.0328 0.9156  6 O 2.34-2.61
Na11 0.8520 0.0390 0.9126  5 O 2.30-2.49
Na12 0.1640 0.3027 0.9194  6 O 2.35-2.63
Na13 0.4832 0.3010 0.4155  5 O 2.30-2.55
Na14 0.9832 0.3012 0.4155  5 O 2.29-2.55
Na15 0.1660 0.0338 0.4179  5 O 2.29-2.52
Na16 0.6660 0.0340 0.4178  5 O 2.29-2.52
Na17 0.3507 0.6671 0.4161  7 O 2.35-2.62
Na18 0.8508 0.6670 0.4160  7 O 2.35-2.62
Na19 0.0003 0.0064 0.5026  6 O 2.38-2.52
Na20 0.5001 0.0060 0.5024  6 O 2.39-2.52
Na21 0.0038 0.9878 0.0022  6 O 2.38-2.58
Na22 0.5062 0.0062 0.0003  6 O 2.36-2.54
Na23 0.3412 0.3409 0.8309  6 O 2.33-2.56
Na24 0.8434 0.3530 0.8328  6 O 2.31-2.54
Na25 0.3377 0.3529 0.3304  6 O 2.31-2.59
Na26 0.8376 0.3528 0.3303  5 O 2.30-2.49
Na27 0.1709 0.6601 0.1661  6 O 2.34-2.57
Na28 0.6711 0.6583 0.1674  6 O 2.35-2.54
Na29 0.1759 0.6676 0.6671  6 O 2.32-2.55
Na30 0.6758 0.6645 0.6657  6 O 2.29-2.52
Si1 0.3579 0.7114 0.2488  4 O 1.63-1.65
Si2 0.8577 0.7109 0.2491  4 O 1.62-1.66
Si3 0.0024 0.2996 0.2504  4 O 1.62-1.66
Si4 0.5024 0.2996 0.2505  4 O 1.62-1.65
Si5 0.9976 0.7018 0.7515  4 O 1.63-1.66
Si6 0.4953 0.7037 0.7503  4 O 1.62-1.66
Si7 0.3581 0.9984 0.7497  4 O 1.63-1.67
Si8 0.8574 0.9970 0.7500  4 O 1.62-1.66
Si9 0.1888 0.0483 0.5846  4 O 1.63-1.67
Si10 0.6894 0.0492 0.5849  4 O 1.63-1.67
Si11 0.3271 0.6106 0.5837  4 O 1.62-1.66
Si12 0.8271 0.6103 0.5837  4 O 1.62-1.66
Si13 0.3269 0.0413 0.0837  4 O 1.62-1.67
Si14 0.8283 0.0377 0.0847  4 O 1.62-1.65
Si15 0.1897 0.3302 0.0841  4 O 1.62-1.67
Si16 0.6912 0.3308 0.0836  4 O 1.62-1.67
Si17 0.3089 0.6630 0.9155  4 O 1.62-1.65
Si18 0.0227 0.3891 0.9172  4 O 1.61-1.69
Si19 0.5278 0.3823 0.9167  4 O 1.63-1.67
Si20 0.1597 0.9420 0.9173  4 O 1.61-1.67
Si21 0.6663 0.9559 0.9172  4 O 1.62-1.65
Si22 0.3089 0.9542 0.4151  4 O 1.62-1.64
Si23 0.8089 0.9544 0.4151  4 O 1.62-1.64
Si24 0.1650 0.3820 0.4176  4 O 1.62-1.64
Si25 0.6651 0.3819 0.4176  4 O 1.62-1.64
Si26 0.0259 0.6664 0.4170  4 O 1.62-1.65
Si27 0.5259 0.6663 0.4170  4 O 1.62-1.65
Ge1 0.9935 0.9957 0.3546  6 O 1.83-2.04
Ge2 0.4936 0.9955 0.3545  6 O 1.83-2.04
Ge3 0.9981 0.9976 0.8530  5 O 1.82-2.01
Ge4 0.4950 0.9943 0.8567  5 O 1.84-1.91
Ge5 0.9935 0.9675 0.6463  4 O 1.80-1.89
Ge6 0.4937 0.9723 0.6453  4 O 1.78-1.89
Ge7 0.9961 0.0181 0.1463  4 O 1.80-1.89
Ge8 0.4956 0.0197 0.1454  4 O 1.80-1.90
Ge9 0.3342 0.3309 0.6873  5 O 1.82-1.96
Ge10 0.8341 0.3323 0.6882  5 O 1.82-1.96
Ge11 0.3331 0.3394 0.1873  5 O 1.79-1.99
Ge12 0.8336 0.3404 0.1870  5 O 1.79-1.95
Ge13 0.3255 0.3154 0.9761  5 O 1.84-1.98
Ge14 0.8291 0.3121 0.9807  4 O 1.79-1.88
Ge15 0.3275 0.3349 0.4779  5 O 1.83-1.96
Ge16 0.8278 0.3350 0.4779  5 O 1.83-1.96
Ge17 0.1749 0.6711 0.0192  5 O 1.79-1.94
Ge18 0.6684 0.6655 0.0212  5 O 1.83-1.97
Ge19 0.1754 0.6799 0.5196  5 O 1.80-1.93
Ge20 0.6754 0.6801 0.5194  5 O 1.80-1.93
Ge21 0.1685 0.6519 0.3138  5 O 1.79-1.93
Ge22 0.6685 0.6522 0.3139  5 O 1.79-1.92
Ge23 0.1667 0.6736 0.8147  5 O 1.82-1.96
Ge24 0.6631 0.6816 0.8108  4 O 1.82-1.89
S1 0.1409 0.9997 0.2495  4 O 1.47-1.50
S2 0.6409 0.0001 0.2493  4 O 1.47-1.49
S3 0.1420 0.2896 0.7489  4 O 1.46-1.51
S4 0.6422 0.2907 0.7509  4 O 1.47-1.50
S5 0.4775 0.3272 0.5836  4 O 1.46-1.49
S6 0.9771 0.3263 0.5839  4 O 1.46-1.49
S7 0.4780 0.6285 0.0838  4 O 1.46-1.50
S8 0.9756 0.6239 0.0837  4 O 1.46-1.50
S9 0.8098 0.6613 0.9163  4 O 1.46-1.50
O1 0.1025 0.0256 0.3077  1 S 1.49
O2 0.6025 0.0255 0.3076  1 S 1.49
O3 0.4156 0.7917 0.3132  1 Si 1.65, 1 Ge 1.83
O4 0.9156 0.7921 0.3134  1 Si 1.65, 1 Ge 1.83
O5 0.4796 0.1651 0.3100  1 Si 1.65
O6 0.9794 0.1652 0.3100  1 Si 1.65
O7 0.1048 0.1831 0.8073  1 S 1.51
O8 0.6027 0.1756 0.8058  1 S 1.49
O9 0.4836 0.7983 0.8118  1 Si 1.62
O10 0.9817 0.8038 0.8095  1 Si 1.63, 1 Ge 1.82
O11 0.4174 0.0395 0.8129  1 Si 1.64
O12 0.9148 0.0337 0.8142  1 Si 1.64, 1 Ge 1.82
O13 0.4070 0.9732 0.6893  1 Si 1.63, 1 Ge 1.78
O14 0.9065 0.9702 0.6904  1 Si 1.62, 1 Ge 1.80
O15 0.0875 0.2004 0.6942  1 S 1.46
O16 0.5901 0.2140 0.6939  1 S 1.47
O17 0.0244 0.8283 0.6891  1 Si 1.66, 1 Ge 1.80
O18 0.5235 0.8331 0.6893  1 Si 1.65, 1 Ge 1.80
O19 0.4057 0.8496 0.1913  1 Si 1.64, 1 Ge 1.82
O20 0.9055 0.8489 0.1918  1 Si 1.64, 1 Ge 1.82
O21 0.0208 0.2186 0.1873  1 Si 1.63, 1 Ge 1.80
O22 0.5212 0.2199 0.1871  1 Si 1.64, 1 Ge 1.80
O23 0.0865 0.9781 0.1943  1 S 1.47
O24 0.5865 0.9787 0.1941  1 S 1.47
O25 0.4359 0.3608 0.6385  1 S 1.49
O26 0.9353 0.3603 0.6387  1 S 1.49
O27 0.2492 0.1320 0.6467  1 Si 1.63
O28 0.7494 0.1325 0.6472  1 Si 1.63
O29 0.3170 0.4897 0.6431  1 Si 1.62
O30 0.8167 0.4899 0.6433  1 Si 1.62
O31 0.4380 0.5102 0.1381  1 S 1.49
O32 0.9371 0.5073 0.1392  1 S 1.50
O33 0.3175 0.1368 0.1465  1 Si 1.64
O34 0.8151 0.1317 0.1463  1 Si 1.63
O35 0.2545 0.3719 0.1434  1 Si 1.62, 1 Ge 1.79
O36 0.7538 0.3720 0.1441  1 Si 1.62, 1 Ge 1.79
O37 0.2313 0.2997 0.0203  1 Si 1.64
O38 0.7372 0.3028 0.0220  1 Si 1.63, 1 Ge 1.79
O39 0.4266 0.5523 0.0260  1 S 1.48
O40 0.9204 0.5443 0.0275  1 S 1.48
O41 0.3543 0.1750 0.0232  1 Si 1.66, 1 Ge 1.84
O42 0.8567 0.1676 0.0237  1 Si 1.65, 1 Ge 1.81
O43 0.2322 0.1643 0.5220  1 Si 1.64
O44 0.7325 0.1647 0.5222  1 Si 1.63
O45 0.3548 0.5361 0.5219  1 Si 1.65, 1 Ge 1.83
O46 0.8547 0.5365 0.5218  1 Si 1.65, 1 Ge 1.83
O47 0.4249 0.2990 0.5258  1 S 1.49
O48 0.9246 0.2986 0.5259  1 S 1.49
O49 0.2726 0.7184 0.9760  1 Si 1.62, 1 Ge 1.79
O50 0.7720 0.7007 0.9724  1 S 1.50
O51 0.0864 0.4629 0.9790  1 Si 1.64
O52 0.5840 0.4659 0.9808  1 Si 1.64, 1 Ge 1.83
O53 0.1428 0.8184 0.9767  1 Si 1.61
O54 0.6456 0.8185 0.9744  1 Si 1.63
O55 0.2716 0.8225 0.4741  1 Si 1.62, 1 Ge 1.80
O56 0.7717 0.8227 0.4741  1 Si 1.62, 1 Ge 1.80
O57 0.1385 0.4646 0.4760  1 Si 1.62
O58 0.6385 0.4647 0.4759  1 Si 1.62
O59 0.0871 0.7124 0.4799  1 Si 1.64
O60 0.5871 0.7126 0.4799  1 Si 1.64
O61 0.0694 0.6182 0.3588  1 Si 1.62
O62 0.5693 0.6182 0.3588  1 Si 1.62
O63 0.2449 0.8767 0.3537  1 Si 1.64
O64 0.7449 0.8767 0.3538  1 Si 1.64
O65 0.1970 0.5126 0.3579  1 Si 1.63, 1 Ge 1.79
O66 0.6970 0.5127 0.3579  1 Si 1.63, 1 Ge 1.79
O67 0.0670 0.5059 0.8562  1 Si 1.61
O68 0.5731 0.5198 0.8589  1 Si 1.64, 1 Ge 1.82
O69 0.1887 0.8768 0.8550  1 Si 1.63, 1 Ge 1.82
O70 0.6938 0.8835 0.8548  1 Si 1.65, 1 Ge 1.82
O71 0.2418 0.6114 0.8565  1 Si 1.63
O72 0.7562 0.6336 0.8602  1 S 1.47
O73 0.0153 0.8442 0.4104  1 Si 1.65
O74 0.5152 0.8442 0.4104  1 Si 1.65
O75 0.4085 0.9765 0.4113  1 Si 1.64
O76 0.9085 0.9765 0.4114  1 Si 1.64
O77 0.0789 0.1815 0.4080  1 Si 1.64
O78 0.5789 0.1814 0.4081  1 Si 1.64
O79 0.0089 0.1827 0.9110  1 Si 1.69
O80 0.5146 0.1834 0.9109  1 Si 1.63
O81 0.0764 0.9819 0.9094  1 Si 1.65
O82 0.5769 0.9698 0.9094  1 Si 1.62
O83 0.4077 0.8400 0.9115  1 Si 1.63
O84 0.8991 0.8279 0.9136  1 S 1.50
O85 0.4874 0.1695 0.5893  1 S 1.46
O86 0.9869 0.1691 0.5899  1 S 1.46
O87 0.0884 0.0291 0.5905  1 Si 1.67
O88 0.5889 0.0310 0.5906  1 Si 1.67
O89 0.4191 0.8094 0.5872  1 Si 1.66, 1 Ge 1.84
O90 0.9188 0.8091 0.5876  1 Si 1.66, 1 Ge 1.84
O91 0.4882 0.8057 0.0911  1 S 1.46
O92 0.9848 0.8005 0.0907  1 S 1.46
O93 0.4192 0.0266 0.0867  1 Si 1.67, 1 Ge 1.85
O94 0.9196 0.0224 0.0878  1 Si 1.65, 1 Ge 1.84
O95 0.0898 0.1472 0.0903  1 Si 1.67
O96 0.5906 0.1499 0.0895  1 Si 1.67
O97 0.3419 0.1718 0.7437  1 Si 1.67
O98 0.8404 0.1684 0.7445  1 Si 1.66
O99 0.2311 0.3021 0.7470  1 S 1.49
O100 0.7321 0.3049 0.7480  1 S 1.50
O101 0.4072 0.5090 0.7430  1 Si 1.62
O102 0.9080 0.5083 0.7435  1 Si 1.63
O103 0.3472 0.5144 0.2430  1 Si 1.63
O104 0.8470 0.5142 0.2434  1 Si 1.62
O105 0.4083 0.3039 0.2438  1 Si 1.65
O106 0.9081 0.3034 0.2432  1 Si 1.66
O107 0.2316 0.1613 0.2478  1 S 1.50
O108 0.7316 0.1613 0.2478  1 S 1.49
O109 0.3224 0.4889 0.9231  1 Si 1.65
O110 0.8212 0.5059 0.9227  1 S 1.46
O111 0.4271 0.3617 0.9223  1 Si 1.67
O112 0.9228 0.3673 0.9250  1 Si 1.65
O113 0.2505 0.1428 0.9210  1 Si 1.67, 1 Ge 1.84
O114 0.7566 0.1509 0.9220  1 Si 1.64
O115 0.3222 0.1541 0.4239  1 Si 1.64
O116 0.8221 0.1541 0.4239  1 Si 1.64
O117 0.2532 0.3584 0.4225  1 Si 1.64
O118 0.7532 0.3583 0.4226  1 Si 1.64
O119 0.4261 0.4891 0.4234  1 Si 1.65
O120 0.9261 0.4891 0.4234  1 Si 1.65
O121 0.1730 0.5019 0.0786  1 Si 1.66
O122 0.6744 0.5029 0.0776  1 Si 1.66
O123 0.0635 0.6356 0.0798  1 S 1.48
O124 0.5671 0.6405 0.0811  1 S 1.50
O125 0.2372 0.8478 0.0791  1 Si 1.62
O126 0.7398 0.8433 0.0762  1 Si 1.62
O127 0.1742 0.8445 0.5792  1 Si 1.66
O128 0.6742 0.8450 0.5794  1 Si 1.66
O129 0.2378 0.6264 0.5779  1 Si 1.62
O130 0.7379 0.6268 0.5776  1 Si 1.62
O131 0.0645 0.4918 0.5813  1 S 1.48
O132 0.5648 0.4924 0.5811  1 S 1.48
O133 0.1513 0.8411 0.2512  1 S 1.47
O134 0.6512 0.8412 0.2511  1 S 1.47
O135 0.2614 0.7067 0.2546  1 Si 1.65
O136 0.7614 0.7071 0.2548  1 Si 1.66
O137 0.0909 0.4947 0.2554  1 Si 1.62
O138 0.5909 0.4948 0.2555  1 Si 1.62
O139 0.1505 0.4662 0.7521  1 S 1.46
O140 0.6536 0.4705 0.7576  1 S 1.48
O141 0.0889 0.6890 0.7565  1 Si 1.64
O142 0.5875 0.6906 0.7535  1 Si 1.66, 1 Ge 1.83
O143 0.2587 0.8193 0.7548  1 Si 1.65
O144 0.7578 0.8145 0.7555  1 Si 1.66